VASP calculation (GGA-PBE) on a relaxed NdB2Ir2 crystal.

Geometry as POSCAR:
```
NdB2Ir2
1.0
0.0000 4.7174 5.3699
3.0021 0.0000 5.3699
3.0021 4.7174 0.0000
Nd B Ir
2 4 4
Cartesian
0.7505 1.1793 1.3425
5.2538 8.2554 9.3974
2.2516 1.8598 4.0275
3.7527 4.2185 6.7124
2.2516 5.2162 4.0275
3.7527 7.5749 6.7124
2.2516 3.5380 2.6378
3.7527 5.8967 5.3228
2.2516 3.5380 5.4171
3.7527 5.8967 8.1021
```

The space group is Fddd, No. 70. Its crystal system is orthorhombic.

VASP calculation (GGA-PBE) on a relaxed NaCa4Si8H16O28F crystal.

Geometry as POSCAR:
```
NaCa4Si8H16O28F
1.0
8.9529 0.0000 0.0000
0.0000 8.9691 0.0000
0.0000 0.0000 16.0094
Na Ca Si H O F
2 8 16 32 56 2
Cartesian
0.0000 0.0000 0.0000
4.4765 4.4845 8.0047
1.0263 2.2047 8.0047
2.2229 3.4280 0.0000
2.2536 7.9126 8.0047
3.4502 6.6892 0.0000
5.5027 2.2798 0.0000
6.6994 1.0565 8.0047
6.7300 5.5410 0.0000
7.9267 6.7644 8.0047
0.7554 6.9141 4.9854
0.7554 6.9141 11.0240
2.0675 0.7491 4.9834
2.0675 0.7491 11.0259
2.4090 5.2337 3.0212
2.4090 5.2337 12.9881
3.7211 2.4296 3.0193
3.7211 2.4296 12.9901
5.2319 6.5395 3.0193
5.2319 6.5395 12.9901
6.5439 3.7354 3.0212
6.5439 3.7354 12.9881
6.8855 8.2199 4.9834
6.8855 8.2199 11.0259
8.1976 2.0550 4.9854
8.1976 2.0550 11.0240
0.4935 6.1602 1.4061
0.4935 6.1602 14.6033
0.6194 2.2210 2.3388
0.6194 2.2210 13.6705
1.5624 4.9637 6.6171
1.5624 4.9637 9.3923
2.0558 3.8381 5.6520
2.0558 3.8381 10.3574
2.4206 8.3226 2.3527
2.4206 8.3226 13.6567
2.9141 0.4791 1.3876
2.9141 0.4791 14.6218
3.8571 6.7055 5.6658
3.8571 6.7055 10.3435
3.9830 1.6757 6.5986
3.9830 1.6757 9.4107
4.9699 7.2934 6.5986
4.9699 7.2934 9.4107
5.0958 2.2635 5.6658
5.0958 2.2635 10.3435
6.0389 8.4899 1.3876
6.0389 8.4899 14.6218
6.5323 0.6465 2.3527
6.5323 0.6465 13.6567
6.8971 5.1310 5.6520
6.8971 5.1310 10.3574
7.3905 4.0054 6.6171
7.3905 4.0054 9.3923
8.3336 6.7481 2.3388
8.3336 6.7481 13.6705
8.4595 2.8088 1.4061
8.4595 2.8088 14.6033
0.3951 2.3323 1.3922
0.3951 2.3323 14.6172
0.7920 1.7048 4.5535
0.7920 1.7048 11.4558
0.9053 6.5558 6.5483
0.9053 6.5558 9.4611
1.1778 5.6712 4.0075
1.1778 5.6712 12.0019
1.7081 8.1805 4.5315
1.7081 8.1805 11.4779
1.9838 4.0476 6.6052
1.9838 4.0476 9.4042
2.0316 5.3645 1.4601
2.0316 5.3645 14.5492
2.4449 0.8799 6.5446
2.4449 0.8799 9.4648
2.4927 8.5321 1.3995
2.4927 8.5321 14.6099
2.7683 3.6960 3.4732
2.7683 3.6960 12.5362
3.2986 1.1867 3.9972
3.2986 1.1867 12.0122
3.5712 2.0713 1.4564
3.5712 2.0713 14.5530
3.6844 6.1893 3.4511
3.6844 6.1893 12.5582
4.0814 6.8169 6.6125
4.0814 6.8169 9.3969
4.8716 2.1522 6.6125
4.8716 2.1522 9.3969
5.2685 2.7798 3.4511
5.2685 2.7798 12.5582
5.3817 6.8978 1.4564
5.3817 6.8978 14.5530
5.6543 7.7824 3.9972
5.6543 7.7824 12.0122
6.1846 5.2731 3.4732
6.1846 5.2731 12.5362
6.4602 0.4370 1.3995
6.4602 0.4370 14.6099
6.5080 8.0891 6.5446
6.5080 8.0891 9.4648
6.9214 3.6046 1.4601
6.9214 3.6046 14.5492
6.9692 4.9215 6.6052
6.9692 4.9215 9.4042
7.2448 0.7886 4.5315
7.2448 0.7886 11.4779
7.7751 3.2978 4.0075
7.7751 3.2978 12.0019
8.0477 2.4133 6.5483
8.0477 2.4133 9.4611
8.1609 7.2643 4.5535
8.1609 7.2643 11.4558
8.5578 6.6367 1.3922
8.5578 6.6367 14.6172
0.0000 0.0000 8.0047
4.4765 4.4845 0.0000
```

The space group is Pnnm, No. 58. Its crystal system is orthorhombic. Its size of the total moment is 0.00 μB per atom.

VASP calculation (GGA-PBE) on a relaxed Sm2Fe5Co12C crystal.

Geometry as POSCAR:
```
Sm2Fe5Co12C
1.0
4.7797 -4.2769 0.0000
4.7797 4.2769 0.0000
-0.9164 0.0000 6.2932
Sm Fe Co C
2 5 12 1
Cartesian
1.1771 0.0000 2.2530
7.4659 0.0000 4.0402
2.3899 2.1384 0.0000
3.7746 0.0000 0.6121
2.3899 -2.1384 0.0000
4.3215 0.0000 3.1466
4.8684 0.0000 5.6811
0.6835 0.0000 5.3847
3.5252 2.0829 2.1894
2.7735 1.2055 4.5142
4.7797 2.4152 0.0000
5.1178 2.0829 4.1038
2.7735 -1.2055 4.5142
5.8695 1.2055 1.7791
3.5252 -2.0829 2.1894
4.7797 -2.4152 0.0000
5.8695 -1.2055 1.7791
5.1178 -2.0829 4.1038
7.9595 0.0000 0.9085
0.0000 0.0000 0.0000
```

The space group is C2/m, No. 12. Its crystal system is monoclinic. Its size of the total moment is 1.37 μB per atom.

VASP calculation (GGA-PBE) on a relaxed Li9Ag4 crystal.

Geometry as POSCAR:
```
Li9Ag4
1.0
0.0000 6.8661 4.8261
6.7951 0.0000 4.8261
6.7951 6.8661 0.0000
Li Ag
18 8
Cartesian
8.4158 6.8661 2.2168
6.7951 1.5102 4.8261
6.7951 4.5938 2.7517
4.8120 2.3502 2.9419
9.1894 4.9622 4.2258
5.1743 6.8661 2.2168
9.1894 8.7699 4.2258
6.7951 4.3552 5.6890
6.7951 9.1384 2.7517
9.3083 6.8661 6.3015
4.4008 4.9622 4.2258
1.9831 4.5159 2.9419
4.4008 8.7699 4.2258
6.7951 9.3769 5.6890
11.6070 11.3820 7.7681
8.7782 9.2162 7.7681
4.2818 6.8661 6.3015
6.7951 12.2220 4.8261
4.4520 4.4051 1.1754
11.2578 6.8661 4.3299
2.3431 2.4609 1.1754
6.7951 6.8661 4.4775
11.2470 9.3270 6.0015
6.7951 6.8661 7.3313
9.1382 11.2712 6.0015
2.3323 6.8661 4.3299
```

The space group is Fmm2, No. 42. Its crystal system is orthorhombic. Its size of the total moment is 0.00 μB per atom.

no.,energy (eV per formula unit),energy of formation from the pure elements (eV per atom)
1,-39.466,-0.733
2,-371.866,-2.484
3,-147.431,-0.056
4,-30.703,-0.169